Material: CdSnAs2
Method: DFT, PBE-GGA
State: relaxed

Values from the calculation:
total energy = -3.694 eV per atom

Cell and atoms, written as CIF:
```
data_CdSnAs2
_cell_length_a 6.2214
_cell_length_b 6.2214
_cell_length_c 12.2040
_cell_angle_alpha 90.00
_cell_angle_beta 90.00
_cell_angle_gamma 90.00
_symmetry_space_group_name_H-M 'I -4 2 d'
_symmetry_Int_Tables_number 122
_symmetry_space_group_name_Hall 'I -4 2bw'
loop_
_atom_site_label
_atom_site_fract_x
_atom_site_fract_y
_atom_site_fract_z
Cd1 0.0000 0.0000 0.0000
Sn1 0.0000 0.0000 0.5000
As1 0.2466 0.2500 0.6250
```